Below is a relaxed structure of Cu3Si, with properties calculated at the PBE level. Values from VASP.

Mass density in kg/m3: 7583
Formation enthalpy at 0 K in meV/atom: -41

```
&SYSTEM
  ibrav = 0, nat = 8, ntyp = 2
/
ATOMIC_SPECIES
Cu 63.55 Cu.upf
Si 28.09 Si.upf
CELL_PARAMETERS angstrom
5.208 0.000 0.000
-2.604 4.510 0.000
0.000 0.000 4.078
ATOMIC_POSITIONS crystal
Cu 0.168 0.336 0.250
Cu 0.168 0.832 0.250
Cu 0.336 0.168 0.750
Cu 0.664 0.832 0.250
Cu 0.832 0.168 0.750
Cu 0.832 0.664 0.750
Si 0.333 0.667 0.750
Si 0.667 0.333 0.250
```

Below is a relaxed structure of Na6Cu2AsC4O16, with properties calculated at the PBE level. Values from VASP.

Mass density in kg/m3: 3160
Formation enthalpy at 0 K in meV/atom: -1772

```
&SYSTEM
  ibrav = 0, nat = 58, ntyp = 5
/
ATOMIC_SPECIES
Na 22.99 Na.upf
Cu 63.55 Cu.upf
As 74.92 As.upf
C 12.01 C.upf
O 16.00 O.upf
CELL_PARAMETERS angstrom
0.000 6.968 6.968
6.968 0.000 6.968
6.968 6.968 0.000
ATOMIC_POSITIONS crystal
Na 0.087 0.087 0.663
Na 0.087 0.663 0.087
Na 0.087 0.663 0.663
Na 0.337 0.337 0.913
Na 0.337 0.913 0.337
Na 0.337 0.913 0.913
Na 0.663 0.087 0.087
Na 0.663 0.087 0.663
Na 0.663 0.663 0.087
Na 0.913 0.337 0.337
Na 0.913 0.337 0.913
Na 0.913 0.913 0.337
Cu 0.000 0.500 0.500
Cu 0.500 0.000 0.500
Cu 0.500 0.500 0.000
Cu 0.500 0.500 0.500
As 0.125 0.125 0.125
As 0.875 0.875 0.875
C 0.283 0.283 0.283
C 0.283 0.283 0.651
C 0.283 0.651 0.283
C 0.349 0.717 0.717
C 0.651 0.283 0.283
C 0.717 0.349 0.717
C 0.717 0.717 0.349
C 0.717 0.717 0.717
O 0.054 0.054 0.054
O 0.054 0.054 0.338
O 0.054 0.338 0.054
O 0.141 0.306 0.400
O 0.141 0.400 0.653
O 0.141 0.653 0.306
O 0.306 0.141 0.653
O 0.306 0.400 0.141
O 0.306 0.653 0.400
O 0.338 0.054 0.054
O 0.347 0.600 0.694
O 0.347 0.694 0.859
O 0.347 0.859 0.600
O 0.400 0.141 0.306
O 0.400 0.306 0.653
O 0.400 0.653 0.141
O 0.600 0.347 0.859
O 0.600 0.694 0.347
O 0.600 0.859 0.694
O 0.653 0.141 0.400
O 0.653 0.306 0.141
O 0.653 0.400 0.306
O 0.662 0.946 0.946
O 0.694 0.347 0.600
O 0.694 0.600 0.859
O 0.694 0.859 0.347
O 0.859 0.347 0.694
O 0.859 0.600 0.347
O 0.859 0.694 0.600
O 0.946 0.662 0.946
O 0.946 0.946 0.662
O 0.946 0.946 0.946
```

Below is a relaxed structure of SrP2H6O9, with properties calculated at the PBE level. Values from VASP.

Mass density in kg/m3: 2559
Formation enthalpy at 0 K in meV/atom: -2120

```
&SYSTEM
  ibrav = 0, nat = 36, ntyp = 4
/
ATOMIC_SPECIES
Sr 87.62 Sr.upf
P 30.97 P.upf
H 1.01 H.upf
O 16.00 O.upf
CELL_PARAMETERS angstrom
6.736 0.000 0.000
-0.762 7.339 0.000
-2.967 -2.126 7.868
ATOMIC_POSITIONS crystal
Sr 0.101 0.251 0.191
Sr 0.899 0.749 0.809
P 0.262 0.801 0.261
P 0.343 0.905 0.628
P 0.657 0.095 0.372
P 0.738 0.199 0.739
H 0.222 0.524 0.756
H 0.251 0.486 0.932
H 0.274 0.142 0.891
H 0.316 0.322 0.581
H 0.333 0.532 0.563
H 0.475 0.289 0.036
H 0.525 0.711 0.964
H 0.667 0.468 0.437
H 0.684 0.678 0.419
H 0.726 0.858 0.109
H 0.749 0.514 0.068
H 0.778 0.476 0.244
O 0.142 0.895 0.129
O 0.192 0.918 0.720
O 0.205 0.883 0.428
O 0.230 0.412 0.536
O 0.237 0.592 0.224
O 0.239 0.588 0.873
O 0.316 0.255 0.988
O 0.480 0.119 0.675
O 0.490 0.765 0.644
O 0.510 0.235 0.356
O 0.520 0.881 0.325
O 0.684 0.745 0.012
O 0.761 0.412 0.127
O 0.763 0.408 0.776
O 0.770 0.588 0.464
O 0.795 0.117 0.572
O 0.808 0.082 0.280
O 0.858 0.105 0.871
```

Below is a relaxed structure of HfRu3, with properties calculated at the PBE level. Values from VASP.

Mass density in kg/m3: 12922
Formation enthalpy at 0 K in meV/atom: -224
Energy above the most stable polymorph in this dataset in eV/f.u.: 0.00

```
&SYSTEM
  ibrav = 0, nat = 4, ntyp = 2
/
ATOMIC_SPECIES
Hf 178.49 Hf.upf
Ru 101.07 Ru.upf
CELL_PARAMETERS angstrom
3.956 0.000 0.000
0.000 3.956 0.000
0.000 0.000 3.956
ATOMIC_POSITIONS crystal
Hf 0.000 0.000 0.000
Ru 0.000 0.500 0.500
Ru 0.500 0.000 0.500
Ru 0.500 0.500 0.000
```

Below is a relaxed structure of Hf3AlAu2, with properties calculated at the PBE level. Values from VASP.

Mass density in kg/m3: 13624
Formation enthalpy at 0 K in meV/atom: -417

```
&SYSTEM
  ibrav = 0, nat = 24, ntyp = 3
/
ATOMIC_SPECIES
Hf 178.49 Hf.upf
Al 26.98 Al.upf
Au 196.97 Au.upf
CELL_PARAMETERS angstrom
0.000 6.155 6.155
6.155 0.000 6.155
6.155 6.155 0.000
ATOMIC_POSITIONS crystal
Hf 0.070 0.070 0.680
Hf 0.070 0.680 0.070
Hf 0.070 0.680 0.680
Hf 0.320 0.320 0.930
Hf 0.320 0.930 0.320
Hf 0.320 0.930 0.930
Hf 0.680 0.070 0.070
Hf 0.680 0.070 0.680
Hf 0.680 0.680 0.070
Hf 0.930 0.320 0.320
Hf 0.930 0.320 0.930
Hf 0.930 0.930 0.320
Al 0.000 0.500 0.500
Al 0.500 0.000 0.500
Al 0.500 0.500 0.000
Al 0.500 0.500 0.500
Au 0.286 0.286 0.286
Au 0.286 0.286 0.641
Au 0.286 0.641 0.286
Au 0.359 0.714 0.714
Au 0.641 0.286 0.286
Au 0.714 0.359 0.714
Au 0.714 0.714 0.359
Au 0.714 0.714 0.714
```

Below is a relaxed structure of Al2O3, with properties calculated at the PBE level. Values from VASP.

Mass density in kg/m3: 3115
Formation enthalpy at 0 K in meV/atom: -3350

```
&SYSTEM
  ibrav = 0, nat = 20, ntyp = 2
/
ATOMIC_SPECIES
Al 26.98 Al.upf
O 16.00 O.upf
CELL_PARAMETERS angstrom
5.380 0.000 0.000
0.000 8.371 0.000
-2.600 0.000 4.828
ATOMIC_POSITIONS crystal
Al 0.036 0.156 0.240
Al 0.036 0.344 0.740
Al 0.448 0.043 0.733
Al 0.448 0.457 0.233
Al 0.552 0.543 0.767
Al 0.552 0.957 0.267
Al 0.964 0.656 0.260
Al 0.964 0.844 0.760
O 0.181 0.205 0.600
O 0.181 0.295 0.100
O 0.250 0.519 0.829
O 0.250 0.981 0.329
O 0.325 0.609 0.394
O 0.325 0.891 0.894
O 0.675 0.109 0.106
O 0.675 0.391 0.606
O 0.750 0.019 0.671
O 0.750 0.481 0.171
O 0.819 0.705 0.900
O 0.819 0.795 0.400
```

Below is a relaxed structure of Mg6TiZn, with properties calculated at the PBE level. Values from VASP.

Mass density in kg/m3: 2593
Formation enthalpy at 0 K in meV/atom: 80
Energy above the most stable polymorph in this dataset in eV/f.u.: 0.07

```
&SYSTEM
  ibrav = 0, nat = 16, ntyp = 3
/
ATOMIC_SPECIES
Mg 24.30 Mg.upf
Zn 65.41 Zn.upf
Ti 47.87 Ti.upf
CELL_PARAMETERS angstrom
-1.523 -3.351 -3.284
1.324 -4.493 3.971
-10.150 0.616 4.080
ATOMIC_POSITIONS crystal
Mg 0.000 0.748 0.086
Mg 0.500 0.753 0.919
Mg 0.000 0.000 0.328
Mg 0.000 0.000 0.828
Mg 0.500 0.747 0.419
Mg 0.000 0.752 0.586
Mg 0.000 0.500 0.828
Mg 0.500 0.247 0.919
Mg 0.500 0.253 0.419
Mg 0.000 0.500 0.328
Mg 0.000 0.248 0.586
Mg 0.000 0.252 0.086
Zn 0.500 0.500 0.664
Zn 0.500 0.000 0.164
Ti 0.500 0.500 0.170
Ti 0.500 0.000 0.670
```

Below is a relaxed structure of YTl2P2S7, with properties calculated at the PBE level. Values from VASP.

Mass density in kg/m3: 4108
Formation enthalpy at 0 K in meV/atom: -1043

```
&SYSTEM
  ibrav = 0, nat = 48, ntyp = 4
/
ATOMIC_SPECIES
Y 88.91 Y.upf
Tl 204.38 Tl.upf
P 30.97 P.upf
S 32.06 S.upf
CELL_PARAMETERS angstrom
11.548 -3.371 0.000
11.548 3.371 0.000
-9.638 0.000 16.284
ATOMIC_POSITIONS crystal
Y 0.116 0.203 0.239
Y 0.203 0.116 0.739
Y 0.797 0.884 0.261
Y 0.884 0.797 0.761
Tl 0.173 0.191 0.026
Tl 0.191 0.173 0.526
Tl 0.461 0.516 0.120
Tl 0.484 0.539 0.380
Tl 0.516 0.461 0.620
Tl 0.539 0.484 0.880
Tl 0.809 0.827 0.474
Tl 0.827 0.809 0.974
P 0.023 0.077 0.309
P 0.077 0.023 0.809
P 0.329 0.338 0.360
P 0.338 0.329 0.860
P 0.662 0.671 0.140
P 0.671 0.662 0.640
P 0.923 0.977 0.191
P 0.977 0.923 0.691
S 0.004 0.050 0.398
S 0.050 0.004 0.898
S 0.112 0.684 0.195
S 0.134 0.648 0.390
S 0.166 0.630 0.910
S 0.177 0.625 0.694
S 0.224 0.332 0.735
S 0.247 0.287 0.401
S 0.287 0.247 0.901
S 0.316 0.888 0.305
S 0.332 0.224 0.235
S 0.352 0.866 0.110
S 0.370 0.834 0.590
S 0.375 0.823 0.806
S 0.625 0.177 0.194
S 0.630 0.166 0.410
S 0.648 0.134 0.890
S 0.668 0.776 0.765
S 0.684 0.112 0.695
S 0.713 0.753 0.099
S 0.753 0.713 0.599
S 0.776 0.668 0.265
S 0.823 0.375 0.306
S 0.834 0.370 0.090
S 0.866 0.352 0.610
S 0.888 0.316 0.805
S 0.950 0.996 0.102
S 0.996 0.950 0.602
```

Q: What is the formula in the first record?
A: Cu3Si

Q: Look up the mass density of the sixth one.
A: 3115 kg/m3